## 1
First-principles (PBE) data for a relaxed MgTe2MoW2Se2S2 crystal, as listed in the Materials Project.

POSCAR file:
```
MgTe2MoW2Se2S2
1.0
2.9085 -1.6789 0.0000
2.9085 1.6789 0.0000
-0.1977 0.0000 37.4451
Mg Te Mo W Se S
1 2 1 2 2 2
direct
0.0000 0.0000 0.0000
0.9963 0.9963 0.3048
0.9987 0.9987 0.4064
0.6640 0.6640 0.8881
0.6642 0.6642 0.3556
0.9954 0.9954 0.1342
0.6602 0.6602 0.0894
0.6636 0.6636 0.1787
0.9960 0.9960 0.8480
0.9985 0.9985 0.9283
```

Output
Symmetry ... Cm

## 2
First-principles (PBE) data for a relaxed MgTe2MoW2Se2S2 crystal, as listed in the Materials Project.

POSCAR file:
```
MgTe2MoW2Se2S2
1.0
2.8942 -1.6709 0.0000
2.8942 1.6709 0.0000
-0.1752 0.0000 37.0243
Mg Te Mo W Se S
1 2 1 2 2 2
direct
0.0000 0.0000 0.0000
0.0016 0.0016 0.7076
0.9976 0.9976 0.6050
0.3327 0.3327 0.6563
0.0008 0.0008 0.8779
0.3328 0.3328 0.1241
0.0012 0.0012 0.1693
0.9979 0.9979 0.0786
0.3331 0.3331 0.8369
0.3348 0.3348 0.9191
```

Output
Symmetry ... Cm

Decreasing stability: 2, 1